No. 1
First-principles (meta-GGA r2SCAN) data for TiO2 after structural relaxation, as listed in the Materials Project database.

a = 4.5453 Å, b = 5.5196 Å, c = 4.9092 Å
α = 90.00°, β = 90.00°, γ = 90.00°
Fractional positions:
Ti (0.0000, 0.1730, 0.2500)
Ti (0.0000, 0.8270, 0.7500)
Ti (0.5000, 0.3270, 0.7500)
Ti (0.5000, 0.6730, 0.2500)
O (0.2285, 0.1183, 0.5814)
O (0.2285, 0.8817, 0.0814)
O (0.2715, 0.3817, 0.0814)
O (0.2715, 0.6183, 0.5814)
O (0.7285, 0.3817, 0.4186)
O (0.7285, 0.6183, 0.9186)
O (0.7715, 0.1183, 0.9186)
O (0.7715, 0.8817, 0.4186)

Properties
The calculation puts the formation energy at -3.31 eV/atom. As for the symmetry: No. 60.

=====

No. 2
First-principles (meta-GGA r2SCAN) data for Ti5O9 after structural relaxation, as listed in the Materials Project database.

a = 5.5841 Å, b = 7.1242 Å, c = 8.4865 Å
α = 69.67°, β = 75.38°, γ = 71.45°
Fractional positions:
Ti (0.0000, 0.0000, 0.0000)
Ti (0.0000, 0.5000, 0.0000)
Ti (0.2719, 0.1744, 0.5762)
Ti (0.2828, 0.6709, 0.5820)
Ti (0.3476, 0.1560, 0.2039)
Ti (0.3488, 0.6557, 0.2069)
Ti (0.6512, 0.3443, 0.7931)
Ti (0.6524, 0.8440, 0.7961)
Ti (0.7172, 0.3291, 0.4180)
Ti (0.7281, 0.8256, 0.4238)
O (0.0168, 0.6924, 0.7610)
O (0.0719, 0.6957, 0.4194)
O (0.0817, 0.6969, 0.0812)
O (0.2597, 0.9620, 0.1366)
O (0.2833, 0.9883, 0.7965)
O (0.3126, 0.9692, 0.4581)
O (0.3749, 0.3528, 0.9792)
O (0.4079, 0.3452, 0.3251)
O (0.4150, 0.3650, 0.6326)
O (0.5850, 0.6350, 0.3674)
O (0.5921, 0.6548, 0.6749)
O (0.6251, 0.6472, 0.0208)
O (0.6874, 0.0308, 0.5419)
O (0.7167, 0.0117, 0.2035)
O (0.7403, 0.0380, 0.8634)
O (0.9183, 0.3031, 0.9188)
O (0.9281, 0.3043, 0.5806)
O (0.9832, 0.3076, 0.2390)

Properties
The calculation puts the formation energy at -3.27 eV/atom. As for the symmetry: No. 2.

=====

No. 3
First-principles (meta-GGA r2SCAN) data for Ti2O3 after structural relaxation, as listed in the Materials Project database.

a = 7.7108 Å, b = 2.9746 Å, c = 13.2402 Å
α = 90.00°, β = 99.09°, γ = 90.00°
Fractional positions:
Ti (0.0103, 0.2500, 0.1056)
Ti (0.0420, 0.7500, 0.6182)
Ti (0.3098, 0.2500, 0.4844)
Ti (0.3257, 0.2500, 0.7766)
Ti (0.3422, 0.7500, 0.2811)
Ti (0.3653, 0.2500, 0.0628)
Ti (0.6347, 0.7500, 0.9372)
Ti (0.6578, 0.2500, 0.7189)
Ti (0.6743, 0.7500, 0.2234)
Ti (0.6902, 0.7500, 0.5156)
Ti (0.9580, 0.2500, 0.3818)
Ti (0.9897, 0.7500, 0.8944)
O (0.1150, 0.7500, 0.4679)
O (0.1264, 0.2500, 0.9720)
O (0.1458, 0.7500, 0.7842)
O (0.1903, 0.2500, 0.3215)
O (0.2152, 0.7500, 0.1338)
O (0.2278, 0.2500, 0.6276)
O (0.4480, 0.2500, 0.9222)
O (0.4489, 0.7500, 0.4237)
O (0.4913, 0.2500, 0.2336)
O (0.5087, 0.7500, 0.7664)
O (0.5511, 0.2500, 0.5763)
O (0.5520, 0.7500, 0.0778)
O (0.7722, 0.7500, 0.3724)
O (0.7848, 0.2500, 0.8662)
O (0.8097, 0.7500, 0.6785)
O (0.8542, 0.2500, 0.2158)
O (0.8736, 0.7500, 0.0280)
O (0.8850, 0.2500, 0.5321)

Properties
The calculation puts the formation energy at -3.11 eV/atom. As for the symmetry: No. 11.

=====

No. 4
First-principles (meta-GGA r2SCAN) data for Ti3O5 after structural relaxation, as listed in the Materials Project database.

a = 5.2442 Å, b = 5.2442 Å, c = 9.9611 Å
α = 91.74°, β = 91.74°, γ = 42.33°
Fractional positions:
Ti (0.1283, 0.1283, 0.0513)
Ti (0.1353, 0.1353, 0.4355)
Ti (0.1971, 0.1971, 0.7563)
Ti (0.8029, 0.8029, 0.2437)
Ti (0.8647, 0.8647, 0.5645)
Ti (0.8717, 0.8717, 0.9487)
O (0.0460, 0.0460, 0.8678)
O (0.0519, 0.0519, 0.6133)
O (0.2342, 0.2342, 0.2512)
O (0.3119, 0.3119, 0.5736)
O (0.3226, 0.3226, 0.9393)
O (0.6774, 0.6774, 0.0607)
O (0.6881, 0.6881, 0.4264)
O (0.7658, 0.7658, 0.7488)
O (0.9481, 0.9481, 0.3867)
O (0.9540, 0.9540, 0.1322)

Properties
The calculation puts the formation energy at -3.21 eV/atom. The calculation puts the energy relative to the lowest polymorph listed for this composition at 0.189 kcal/mol of atoms. As for the symmetry: No. 12.

=====

No. 5
First-principles (meta-GGA r2SCAN) data for TiO2 after structural relaxation, as listed in the Materials Project database.

a = 7.3600 Å, b = 7.3600 Å, c = 7.3600 Å
α = 92.33°, β = 92.33°, γ = 156.74°
Fractional positions:
Ti (0.1445, 0.3274, 0.4719)
Ti (0.3274, 0.8555, 0.1830)
Ti (0.6726, 0.1445, 0.8170)
Ti (0.8555, 0.6726, 0.5281)
O (0.0410, 0.6637, 0.7048)
O (0.2910, 0.6566, 0.9476)
O (0.3363, 0.0410, 0.3773)
O (0.3434, 0.2910, 0.6344)
O (0.6566, 0.7090, 0.3656)
O (0.6637, 0.9590, 0.6227)
O (0.7090, 0.3434, 0.0524)
O (0.9590, 0.3363, 0.2952)

Properties
The calculation puts the formation energy at -3.25 eV/atom. As for the symmetry: No. 87.

=====

No. 6
First-principles (meta-GGA r2SCAN) data for TiO2 after structural relaxation, as listed in the Materials Project database.

a = 2.9683 Å, b = 4.7076 Å, c = 7.2412 Å
α = 88.08°, β = 78.18°, γ = 90.00°
Fractional positions:
Ti (0.0000, 0.0000, 0.0000)
Ti (0.3171, 0.0402, 0.3675)
Ti (0.6587, 0.5201, 0.6837)
O (0.0954, 0.7052, 0.8116)
O (0.2234, 0.3350, 0.5559)
O (0.4333, 0.8175, 0.1349)
O (0.5619, 0.2116, 0.8782)
O (0.7566, 0.8287, 0.4893)
O (0.8848, 0.2227, 0.2326)

Properties
The calculation puts the formation energy at -3.27 eV/atom. As for the symmetry: No. 1.

=====

No. 7
First-principles (meta-GGA r2SCAN) data for TiO2 after structural relaxation, as listed in the Materials Project database.

a = 6.4354 Å, b = 6.4354 Å, c = 6.6162 Å
α = 106.18°, β = 106.18°, γ = 34.04°
Fractional positions:
Ti (0.0999, 0.0999, 0.2104)
Ti (0.1953, 0.1953, 0.7838)
Ti (0.8047, 0.8047, 0.2162)
Ti (0.9001, 0.9001, 0.7896)
O (0.0584, 0.0584, 0.8700)
O (0.1328, 0.1328, 0.5047)
O (0.2635, 0.2635, 0.1525)
O (0.3619, 0.3619, 0.7934)
O (0.6381, 0.6381, 0.2066)
O (0.7365, 0.7365, 0.8475)
O (0.8672, 0.8672, 0.4953)
O (0.9416, 0.9416, 0.1300)

Properties
The calculation puts the formation energy at -3.31 eV/atom. As for the symmetry: No. 12.

=====

No. 8
First-principles (meta-GGA r2SCAN) data for TiO2 after structural relaxation, as listed in the Materials Project database.

a = 5.1491 Å, b = 9.1942 Å, c = 5.4591 Å
α = 90.00°, β = 90.00°, γ = 90.00°
Fractional positions:
Ti (0.1379, 0.1290, 0.0974)
Ti (0.1379, 0.3710, 0.5974)
Ti (0.3621, 0.6290, 0.0974)
Ti (0.3621, 0.8710, 0.5974)
Ti (0.6379, 0.1290, 0.4026)
Ti (0.6379, 0.3710, 0.9026)
Ti (0.8621, 0.6290, 0.4026)
Ti (0.8621, 0.8710, 0.9026)
O (0.0353, 0.7303, 0.1100)
O (0.0353, 0.7697, 0.6100)
O (0.1834, 0.5105, 0.3512)
O (0.1834, 0.9895, 0.8512)
O (0.3166, 0.0105, 0.3512)
O (0.3166, 0.4895, 0.8512)
O (0.4647, 0.2303, 0.1100)
O (0.4647, 0.2697, 0.6100)
O (0.5353, 0.7303, 0.3900)
O (0.5353, 0.7697, 0.8900)
O (0.6834, 0.5105, 0.1488)
O (0.6834, 0.9895, 0.6488)
O (0.8166, 0.0105, 0.1488)
O (0.8166, 0.4895, 0.6488)
O (0.9647, 0.2303, 0.3900)
O (0.9647, 0.2697, 0.8900)

Properties
The calculation puts the formation energy at -3.31 eV/atom. As for the symmetry: No. 61.

=====

No. 9
First-principles (meta-GGA r2SCAN) data for Ti6O after structural relaxation, as listed in the Materials Project database.

a = 5.1053 Å, b = 5.1053 Å, c = 9.4549 Å
α = 90.00°, β = 90.00°, γ = 120.00°
Fractional positions:
Ti (0.0044, 0.3362, 0.3812)
Ti (0.0044, 0.6682, 0.1188)
Ti (0.3318, 0.3362, 0.1188)
Ti (0.3318, 0.9956, 0.3812)
Ti (0.3362, 0.0044, 0.8812)
Ti (0.3362, 0.3318, 0.6188)
Ti (0.6638, 0.6682, 0.3812)
Ti (0.6638, 0.9956, 0.1188)
Ti (0.6682, 0.0044, 0.6188)
Ti (0.6682, 0.6638, 0.8812)
Ti (0.9956, 0.3318, 0.8812)
Ti (0.9956, 0.6638, 0.6188)
O (0.3333, 0.6667, 0.2500)
O (0.6667, 0.3333, 0.7500)

Properties
The calculation puts the formation energy at -0.88 eV/atom. The calculation puts the energy relative to the lowest polymorph listed for this composition at 0.000 kcal/mol of atoms. As for the symmetry: No. 163.

=====

No. 10
First-principles (meta-GGA r2SCAN) data for Ti3O5 after structural relaxation, as listed in the Materials Project database.

a = 5.2635 Å, b = 5.2635 Å, c = 10.0115 Å
α = 90.00°, β = 90.00°, γ = 138.01°
Fractional positions:
Ti (0.1302, 0.8698, 0.5581)
Ti (0.1302, 0.8698, 0.9419)
Ti (0.1994, 0.8006, 0.2500)
Ti (0.8006, 0.1994, 0.7500)
Ti (0.8698, 0.1302, 0.0581)
Ti (0.8698, 0.1302, 0.4419)
O (0.0521, 0.9479, 0.1226)
O (0.0521, 0.9479, 0.3774)
O (0.2291, 0.7709, 0.7500)
O (0.3173, 0.6827, 0.0678)
O (0.3173, 0.6827, 0.4322)
O (0.6827, 0.3173, 0.5678)
O (0.6827, 0.3173, 0.9322)
O (0.7709, 0.2291, 0.2500)
O (0.9479, 0.0521, 0.6226)
O (0.9479, 0.0521, 0.8774)

Properties
The calculation puts the formation energy at -3.22 eV/atom. The calculation puts the energy relative to the lowest polymorph listed for this composition at 0.000 kcal/mol of atoms. As for the symmetry: No. 63.

=====

No. 11
First-principles (meta-GGA r2SCAN) data for TiO2 after structural relaxation, as listed in the Materials Project database.

a = 17.5315 Å, b = 2.9672 Å, c = 10.6748 Å
α = 90.00°, β = 90.00°, γ = 90.00°
Fractional positions:
Ti (0.0776, 0.2500, 0.1958)
Ti (0.1001, 0.2500, 0.7173)
Ti (0.1460, 0.7500, 0.4782)
Ti (0.1713, 0.7500, 0.9980)
Ti (0.3287, 0.2500, 0.4980)
Ti (0.3540, 0.2500, 0.9782)
Ti (0.3999, 0.7500, 0.2173)
Ti (0.4224, 0.7500, 0.6958)
Ti (0.5776, 0.2500, 0.3042)
Ti (0.6001, 0.2500, 0.7827)
Ti (0.6460, 0.7500, 0.0218)
Ti (0.6713, 0.7500, 0.5020)
Ti (0.8287, 0.2500, 0.0020)
Ti (0.8540, 0.2500, 0.5218)
Ti (0.8999, 0.7500, 0.2827)
Ti (0.9224, 0.7500, 0.8042)
O (0.0256, 0.7500, 0.7486)
O (0.0651, 0.7500, 0.0839)
O (0.0827, 0.2500, 0.5278)
O (0.1101, 0.7500, 0.3116)
O (0.1412, 0.2500, 0.8833)
O (0.1623, 0.7500, 0.6687)
O (0.1812, 0.2500, 0.1116)
O (0.2227, 0.2500, 0.4584)
O (0.2773, 0.7500, 0.9584)
O (0.3188, 0.7500, 0.6116)
O (0.3377, 0.2500, 0.1687)
O (0.3588, 0.7500, 0.3833)
O (0.3899, 0.2500, 0.8116)
O (0.4173, 0.7500, 0.0278)
O (0.4349, 0.2500, 0.5839)
O (0.4744, 0.2500, 0.2486)
O (0.5256, 0.7500, 0.7514)
O (0.5651, 0.7500, 0.4161)
O (0.5827, 0.2500, 0.9722)
O (0.6101, 0.7500, 0.1884)
O (0.6412, 0.2500, 0.6167)
O (0.6623, 0.7500, 0.8313)
O (0.6812, 0.2500, 0.3883)
O (0.7227, 0.2500, 0.0416)
O (0.7773, 0.7500, 0.5416)
O (0.8188, 0.7500, 0.8884)
O (0.8377, 0.2500, 0.3313)
O (0.8588, 0.7500, 0.1167)
O (0.8899, 0.2500, 0.6884)
O (0.9173, 0.7500, 0.4722)
O (0.9349, 0.2500, 0.9161)
O (0.9744, 0.2500, 0.2514)

Properties
The calculation puts the formation energy at -3.25 eV/atom. As for the symmetry: No. 62.

=====

No. 12
First-principles (meta-GGA r2SCAN) data for TiO after structural relaxation, as listed in the Materials Project database.

a = 5.0979 Å, b = 5.0979 Å, c = 5.8481 Å
α = 105.94°, β = 105.94°, γ = 47.84°
Fractional positions:
Ti (0.0000, 0.0000, 0.0000)
Ti (0.3418, 0.3418, 0.6781)
Ti (0.3555, 0.3555, 0.1718)
Ti (0.6445, 0.6445, 0.8282)
Ti (0.6582, 0.6582, 0.3219)
O (0.1743, 0.1743, 0.8467)
O (0.1767, 0.1767, 0.3308)
O (0.5000, 0.5000, 0.5000)
O (0.8233, 0.8233, 0.6692)
O (0.8257, 0.8257, 0.1533)

Properties
The calculation puts the formation energy at -2.74 eV/atom. As for the symmetry: No. 12.